1.
## Li4Cu3WO8 (r²SCAN)

Data for Li4Cu3WO8 after structural relaxation.

Computed properties:
Space-group type ... P-1

Geometry as extended XYZ:
```
16
Lattice="5.709 -0.005 0.021 -0.343 5.839 0.005 -2.490 -2.864 4.520" Properties=species:S:1:pos:R:3 pbc="T T T"
O 2.777 0.071 2.545
O 2.707 2.990 2.569
Cu -0.171 2.920 0.002
O 0.170 -0.020 1.977
Li 2.683 2.917 0.013
W 0.000 0.000 0.000
O -1.466 1.609 4.340
Cu 1.610 -1.435 2.271
O -1.090 -1.588 4.341
Li -1.245 -1.432 2.260
O 4.343 1.361 0.206
O 0.100 2.899 2.000
Li 2.855 -0.003 0.010
O 3.966 4.558 0.204
Cu 1.438 1.485 2.273
Li -1.416 1.487 2.262
```


2.
## Cs (r²SCAN)

Data for Cs after structural relaxation.

Computed properties:
Space-group type ... I-43m

Geometry as extended XYZ:
```
29
Lattice="-13.932 -8.758 -2.812 3.866 8.834 -13.629 12.514 -10.451 3.592" Properties=species:S:1:pos:R:3 pbc="T T T"
Cs 2.908 -10.681 1.316
Cs 0.893 -3.785 -4.687
Cs -4.451 -10.210 -0.466
Cs -1.110 -8.158 -8.578
Cs -2.998 2.489 -10.445
Cs -4.475 -1.599 -3.636
Cs -1.197 1.641 -5.628
Cs -2.511 -2.863 -8.788
Cs 5.840 -7.519 -2.620
Cs 0.231 -8.978 -3.328
Cs 0.000 0.000 0.000
Cs 7.949 -6.639 2.282
Cs -2.835 -5.256 -0.370
Cs 2.036 -5.568 0.810
Cs -0.437 -13.939 -1.878
Cs 3.818 1.320 -4.414
Cs 10.707 -2.924 -8.651
Cs -7.950 -2.407 -7.435
Cs 2.456 5.611 -8.657
Cs 2.265 -4.822 -10.630
Cs -4.862 -6.834 -5.212
Cs 5.411 -2.232 -1.242
Cs 3.906 -8.479 -7.364
Cs 7.704 1.804 -7.854
Cs -8.850 -5.563 -1.786
Cs 10.110 -3.563 -3.062
Cs -5.852 -1.864 -12.661
Cs 2.340 0.285 -9.589
Cs 5.874 -3.400 -6.757
```


Number 1: magnetization 3.00 μB/cell, energy relative to the elements -1684 meV/atom. Number 2: magnetization 0.37 μB/cell, energy relative to the elements 13 meV/atom.